No. 1
Material: PuAu3
Method: DFT, PBE
State: optimized geometry

a b c (Å): 4.906 4.906 4.906
angles (deg): 60.00 60.00 60.00
Fractional positions:
Pu (0.000, 0.000, 0.000)
Au (0.250, 0.250, 0.250)
Au (0.750, 0.750, 0.750)
Au (0.500, 0.500, 0.500)

Results
**V**: 83.5 Å³/cell
**Calculated formation energy**: 0.5 eV/f.u.
**Size of the total moment**: 0.28 μB per formula unit

=====

No. 2
Material: MgCu2Rh4S8
Method: DFT, PBE
State: optimized geometry

a b c (Å): 7.183 7.183 7.375
angles (deg): 59.11 59.11 59.74
Fractional positions:
Mg (0.665, 0.665, 0.085)
Cu (0.923, 0.923, 0.827)
Cu (0.123, 0.123, 0.127)
Rh (0.489, 0.489, 0.002)
Rh (0.489, 0.489, 0.520)
Rh (0.998, 0.485, 0.508)
Rh (0.485, 0.998, 0.508)
S (0.743, 0.743, 0.711)
S (0.253, 0.253, 0.721)
S (0.254, 0.715, 0.265)
S (0.715, 0.254, 0.265)
S (0.724, 0.290, 0.743)
S (0.290, 0.724, 0.743)
S (0.253, 0.253, 0.273)
S (0.743, 0.743, 0.302)

Results
**V**: 264.9 Å³/cell
**Calculated formation energy**: -10.5 eV/f.u.
**Size of the total moment**: 0.00 μB per formula unit
**Energy above the most stable polymorph in this dataset**: 46 meV/atom

=====

No. 3
Material: YMg14Ti
Method: DFT, PBE
State: optimized geometry

a b c (Å): 6.485 6.485 10.224
angles (deg): 90.00 90.00 120.00
Fractional positions:
Y (0.167, 0.333, 0.125)
Mg (0.175, 0.837, 0.125)
Mg (0.168, 0.834, 0.625)
Mg (0.663, 0.325, 0.125)
Mg (0.666, 0.332, 0.625)
Mg (0.663, 0.837, 0.125)
Mg (0.666, 0.834, 0.625)
Mg (0.333, 0.167, 0.382)
Mg (0.333, 0.167, 0.868)
Mg (0.333, 0.665, 0.382)
Mg (0.333, 0.665, 0.868)
Mg (0.835, 0.167, 0.382)
Mg (0.835, 0.167, 0.868)
Mg (0.833, 0.667, 0.372)
Mg (0.833, 0.667, 0.878)
Ti (0.167, 0.333, 0.625)

Results
**V**: 372.4 Å³/cell
**Calculated formation energy**: 1.0 eV/f.u.
**Size of the total moment**: 2.46 μB per formula unit
**Energy above the most stable polymorph in this dataset**: 15 meV/atom

=====

calculated formation energy of number 2 (MgCu2Rh4S8)?
-10.5 eV/f.u.

=====

Which value of calculated formation energy does entry 2 give?
-10.5 eV/f.u.

=====

The lowest size of the total moment belongs to which entry?
MgCu2Rh4S8